No. 1
ErS2 | the Materials Project | r²SCAN | optimized geometry; formation energy = -1878.4 meV/atom
1.0
-3.3254 1.8673 0.2309
-1.7323 -3.2214 1.1046
1.5115 1.7629 7.5114
Er S
2 4
Direct
0.2500 0.2500 0.2732
0.7500 0.7500 0.7268
0.2500 0.7500 0.0000
0.2500 0.2500 0.6314
0.7500 0.2500 0.0000
0.7500 0.7500 0.3686



No. 2
CeBe13 | the Materials Project | r²SCAN | optimized geometry; formation energy = -155.2 meV/atom
1.0
6.3117 -0.0001 3.6473
2.1038 5.9507 3.6473
0.0000 0.0000 7.2947
Be Ce
26 2
Direct
0.4374 0.2113 0.7888
0.5624 0.2113 0.4376
0.0626 0.2887 0.9376
0.9376 0.2887 0.7113
0.9374 0.7113 0.0624
0.7113 0.0624 0.9376
0.2113 0.7887 0.4375
0.7887 0.5626 0.4376
0.2887 0.7113 0.9375
0.2113 0.4374 0.5624
0.2113 0.5624 0.7887
0.0623 0.9377 0.7112
0.0000 0.0000 0.0000
0.2887 0.0626 0.7112
0.7887 0.2113 0.5625
0.9377 0.0623 0.2888
0.5626 0.7887 0.2112
0.2887 0.9376 0.0624
0.5000 0.5000 0.5000
0.7887 0.4376 0.2113
0.7113 0.2887 0.0625
0.5623 0.4377 0.7888
0.4377 0.5623 0.2112
0.7113 0.9374 0.2888
0.4376 0.7887 0.5624
0.0624 0.7113 0.2887
0.7500 0.7500 0.7500
0.2500 0.2500 0.2500



No. 3
NaTiSe4 | the Materials Project | r²SCAN | optimized geometry; formation energy = -1002.4 meV/atom
1.0
7.2643 0.0000 0.0000
0.0000 12.9775 -0.0085
0.0000 3.7115 12.6054
Se Na Ti
32 8 8
Direct
0.8717 0.1226 0.7698
0.5768 0.9083 0.0989
0.3717 0.8774 0.7302
0.8084 0.3999 0.7420
0.8585 0.1043 0.0471
0.5865 0.4518 0.6045
0.0160 0.6766 0.4998
0.9232 0.9083 0.5989
0.4956 0.2680 0.4640
0.9840 0.3234 0.5002
0.4232 0.0917 0.9011
0.9158 0.7527 0.7464
0.5842 0.7527 0.2464
0.1283 0.8774 0.2302
0.6283 0.1226 0.2698
0.3084 0.6001 0.7580
0.0044 0.2680 0.9640
0.6415 0.1043 0.5471
0.9956 0.7320 0.0360
0.0842 0.2473 0.2536
0.4158 0.2473 0.7536
0.1415 0.8957 0.9529
0.5044 0.7320 0.5360
0.5160 0.3234 0.0002
0.4840 0.6766 0.9998
0.1916 0.6001 0.2580
0.9135 0.4518 0.1045
0.0865 0.5482 0.8955
0.4135 0.5482 0.3955
0.6916 0.3999 0.2420
0.3585 0.8957 0.4529
0.0768 0.0917 0.4011
0.1831 0.0967 0.6309
0.6646 0.5381 0.8821
0.8169 0.9033 0.3691
0.1646 0.4619 0.6179
0.8354 0.5381 0.3821
0.6831 0.9033 0.8691
0.3169 0.0967 0.1309
0.3354 0.4619 0.1179
0.7251 0.2681 0.6153
0.6997 0.2191 0.8743
0.1997 0.7809 0.6257
0.7749 0.2681 0.1153
0.2749 0.7319 0.3847
0.3003 0.7809 0.1257
0.8003 0.2191 0.3743
0.2251 0.7319 0.8847



No. 4
UAl10Fe2 | the Materials Project | r²SCAN | optimized geometry; formation energy = -258.3 meV/atom
1.0
4.4053 -5.0680 0.0000
4.4053 5.0680 0.0000
0.0000 0.0000 8.8710
Al U Fe
20 2 4
Direct
0.8672 0.5892 0.7500
0.7815 0.5217 0.2500
0.8412 0.1588 0.0974
0.2265 0.2265 0.0000
0.1328 0.4108 0.2500
0.6256 0.3744 0.9501
0.2185 0.4783 0.7500
0.4108 0.1328 0.7500
0.1588 0.8412 0.5974
0.8412 0.1588 0.4026
0.3744 0.6256 0.0499
0.5892 0.8672 0.2500
0.3744 0.6256 0.4501
0.1588 0.8412 0.9026
0.4783 0.2185 0.2500
0.5217 0.7815 0.7500
0.7735 0.7735 0.5000
0.7735 0.7735 0.0000
0.2265 0.2265 0.5000
0.6256 0.3744 0.5499
0.1205 0.8795 0.2500
0.8795 0.1205 0.7500
0.0000 0.5000 0.5000
0.5000 0.0000 0.5000
0.5000 0.0000 0.0000
0.0000 0.5000 0.0000



No. 5
Gd2Te4O11 | the Materials Project | r²SCAN | optimized geometry; formation energy = -2001.0 meV/atom
1.0
2.5836 6.2366 0.0252
-2.5836 6.2366 0.0252
0.0000 4.3054 15.6214
O Te Gd
22 8 4
Direct
0.9082 0.7990 0.6688
0.1509 0.8491 0.2500
0.1853 0.9576 0.5457
0.8143 0.6803 0.8727
0.8491 0.1509 0.7500
0.9576 0.1853 0.0457
0.2501 0.3349 0.4450
0.3902 0.5613 0.0981
0.5613 0.3902 0.5981
0.8147 0.0424 0.4543
0.6651 0.7499 0.0550
0.7990 0.9082 0.1688
0.6803 0.8143 0.3727
0.3349 0.2501 0.9450
0.6098 0.4387 0.9019
0.1857 0.3197 0.1273
0.0424 0.8147 0.9543
0.0918 0.2010 0.3312
0.4387 0.6098 0.4019
0.7499 0.6651 0.5550
0.3197 0.1857 0.6273
0.2010 0.0918 0.8312
0.3988 0.8432 0.3001
0.4100 0.8476 0.6269
0.6012 0.1568 0.6999
0.1524 0.5900 0.8731
0.8432 0.3988 0.8001
0.1568 0.6012 0.1999
0.8476 0.4100 0.1269
0.5900 0.1524 0.3731
0.6289 0.1342 0.0370
0.8658 0.3711 0.4630
0.1342 0.6289 0.5370
0.3711 0.8658 0.9630



No. 6
Zn2MoW2O8 | the Materials Project | r²SCAN | optimized geometry; formation energy = -1933.5 meV/atom
1.0
-0.3606 -2.9362 4.9564
-4.3520 -3.6770 0.8541
5.7103 -7.7345 -4.1492
O Zn Mo W
16 4 2 4
Direct
0.1667 0.1688 0.1483
0.3334 0.8327 0.6494
0.6658 0.6679 0.1046
0.8301 0.8332 0.6490
0.4906 0.0282 0.8711
0.5135 0.9718 0.3721
0.3403 0.3294 0.6067
0.5136 0.5158 0.3723
0.9964 0.0010 0.8374
0.9992 0.0010 0.3384
0.0334 0.4825 0.8717
0.6643 0.1687 0.1481
0.1668 0.6660 0.1483
0.8299 0.3359 0.6492
0.4903 0.4791 0.8715
0.9686 0.5162 0.3726
0.6690 0.6643 0.9238
0.3331 0.3343 0.0350
0.6620 0.6688 0.5363
0.3307 0.3352 0.4259
0.1835 0.1831 0.7427
0.1834 0.6322 0.7427
0.3649 0.8182 0.2424
0.8161 0.8183 0.2425
0.6382 0.1802 0.7422
0.8161 0.3669 0.2425



No. 7
NbCo3 | the Materials Project | r²SCAN | optimized geometry; formation energy = 39.1 meV/atom
1.0
5.1416 0.0001 0.0000
-2.5708 4.4527 0.0000
0.0000 0.0000 4.1179
Co Nb
6 2
Direct
0.1569 0.8430 0.2500
0.1569 0.3139 0.2500
0.6861 0.8431 0.2500
0.3139 0.1569 0.7500
0.8431 0.6861 0.7500
0.8431 0.1569 0.7500
0.6667 0.3333 0.2500
0.3334 0.6667 0.7500



No. 8
Yb4Pt3Au | the Materials Project | r²SCAN | optimized geometry; formation energy = -1359.0 meV/atom
1.0
-3.2620 -2.5302 -1.7215
3.5131 -2.0166 -3.6930
1.6814 -5.1099 4.3242
Yb Pt Au
4 3 1
Direct
0.5000 0.8519 0.1802
0.0000 0.1417 0.8258
0.5000 0.6465 0.6861
0.0000 0.3623 0.3100
0.0000 0.8436 0.4597
0.5000 0.3395 0.0422
0.0000 0.6574 0.9546
0.5000 0.1570 0.5414



No. 9
V3O5F | the Materials Project | r²SCAN | optimized geometry; distance to the lowest polymorph of the same formula = 5.5 meV/atom; formation energy = -2748.4 meV/atom
1.0
2.9038 0.0000 0.0000
0.0000 4.5773 -0.0104
0.0000 0.5730 13.7475
V O F
6 10 2
Direct
0.5000 0.5000 0.5000
0.5000 0.4730 0.1583
0.0000 0.9775 0.6584
0.0000 0.0000 0.0000
0.0000 0.0225 0.3416
0.5000 0.5270 0.8417
0.5000 0.7975 0.9347
0.5000 0.7997 0.5987
0.0000 0.7004 0.4313
0.0000 0.2934 0.2345
0.0000 0.2999 0.8970
0.0000 0.7066 0.7655
0.5000 0.2003 0.4013
0.5000 0.2025 0.0653
0.0000 0.2996 0.5687
0.0000 0.7001 0.1030
0.5000 0.2021 0.7323
0.5000 0.7979 0.2677



No. 10
Y2C3 | the Materials Project | r²SCAN | optimized geometry; formation energy = -395.8 meV/atom
1.0
6.7279 0.0000 -2.3787
-3.3640 5.8266 -2.3787
0.0000 0.0000 7.1360
C Y
12 8
Direct
0.2058 0.7500 0.9558
0.2500 0.7058 0.4558
0.5442 0.2942 0.2500
0.7942 0.0442 0.7500
0.2942 0.2500 0.5442
0.9558 0.2058 0.7500
0.7500 0.7942 0.0442
0.2500 0.5442 0.2942
0.0442 0.7500 0.7942
0.7058 0.4558 0.2500
0.4558 0.2500 0.7058
0.7500 0.9558 0.2058
0.8995 0.5000 0.0000
0.3995 0.5000 0.0000
0.1005 0.1005 0.1005
0.5000 0.0000 0.8995
0.0000 0.3995 0.5000
0.0000 0.8995 0.5000
0.6005 0.6005 0.6005
0.5000 0.0000 0.3995



No. 11
SiO2 | the Materials Project | r²SCAN | optimized geometry; formation energy = -3019.3 meV/atom
1.0
-1.6845 -6.9745 -6.3078
5.1603 -0.8274 -0.4631
-0.3525 -5.9070 6.6255
Si O
8 16
Direct
0.6654 0.2500 0.4051
0.8346 0.2500 0.0949
0.6654 0.7500 0.5949
0.1654 0.2500 0.0949
0.8346 0.7500 0.9051
0.1654 0.7500 0.9051
0.3346 0.7500 0.5949
0.3346 0.2500 0.4051
0.0000 0.2500 0.1307
0.5000 0.2500 0.3693
0.7500 0.7500 0.7500
0.2500 0.7500 0.7500
0.0000 0.7500 0.8693
0.2500 0.2500 0.2500
0.2932 0.0000 0.5000
0.5000 0.7500 0.6307
0.2068 0.0000 0.0000
0.2068 0.5000 0.0000
0.7932 0.0000 0.0000
0.2932 0.5000 0.5000
0.7500 0.2500 0.2500
0.7068 0.0000 0.5000
0.7932 0.5000 0.0000
0.7068 0.5000 0.5000



No. 12
Ba5Al5Sn | the Materials Project | r²SCAN | optimized geometry; formation energy = -390.3 meV/atom
1.0
6.0778 0.0000 0.0000
-3.0389 5.2636 0.0000
0.0000 0.0000 11.2794
Sn Ba Al
1 5 5
Direct
0.0000 0.0000 0.0000
0.0000 0.0000 0.6723
0.0000 0.0000 0.3277
0.3333 0.6667 0.0000
0.6667 0.3333 0.7997
0.6667 0.3333 0.2003
0.5110 0.4890 0.5000
0.9779 0.4890 0.5000
0.3333 0.6667 0.3260
0.5110 0.0221 0.5000
0.3333 0.6667 0.6740